# 1
The following is a DFT calculation (PBE) of a relaxed Mg5Al34O56 crystal.

Structure (POSCAR):
```
Mg5Al34O56
1.0
1.501 -4.545 -3.101
2.534 0.761 -5.052
30.469 -1.478 12.115
Mg Al O
5 34 56
direct
0.515 0.515 0.438
0.803 0.803 0.586
0.088 0.088 0.733
0.374 0.374 0.880
0.485 0.485 0.546
0.664 0.664 0.028
0.146 0.639 0.077
0.018 0.018 0.010
0.934 0.934 0.160
0.639 0.146 0.077
0.430 0.926 0.213
0.277 0.277 0.144
0.220 0.220 0.298
0.926 0.430 0.213
0.707 0.215 0.352
0.572 0.572 0.283
0.637 0.637 0.128
0.998 0.998 0.496
0.215 0.707 0.352
0.999 0.504 0.496
0.850 0.850 0.423
0.918 0.918 0.268
0.283 0.283 0.641
0.504 0.999 0.496
0.282 0.793 0.641
0.144 0.144 0.567
0.200 0.200 0.405
0.568 0.568 0.788
0.793 0.282 0.641
0.428 0.428 0.716
0.567 0.078 0.788
0.856 0.856 0.933
0.078 0.567 0.788
0.854 0.365 0.933
0.714 0.714 0.862
0.768 0.768 0.697
0.365 0.854 0.933
0.055 0.055 0.842
0.349 0.349 0.987
0.318 0.808 0.033
0.956 0.956 0.103
0.808 0.318 0.033
0.841 0.841 0.034
0.584 0.093 0.175
0.464 0.464 0.105
0.238 0.238 0.244
0.474 0.976 0.105
0.093 0.584 0.175
0.336 0.336 0.039
0.976 0.474 0.105
0.108 0.108 0.177
0.874 0.377 0.317
0.746 0.746 0.248
0.762 0.268 0.250
0.523 0.523 0.381
0.377 0.874 0.317
0.615 0.615 0.182
0.268 0.762 0.250
0.390 0.390 0.318
0.150 0.691 0.467
0.025 0.025 0.392
0.821 0.821 0.529
0.691 0.150 0.467
0.048 0.549 0.395
0.899 0.899 0.323
0.549 0.048 0.395
0.689 0.689 0.465
0.431 0.978 0.610
0.302 0.302 0.534
0.109 0.109 0.674
0.978 0.431 0.610
0.176 0.176 0.466
0.301 0.861 0.534
0.861 0.301 0.534
0.978 0.978 0.610
0.713 0.267 0.754
0.597 0.597 0.681
0.597 0.126 0.680
0.461 0.461 0.616
0.394 0.394 0.819
0.267 0.713 0.754
0.126 0.597 0.680
0.266 0.266 0.754
0.997 0.555 0.897
0.883 0.883 0.822
0.683 0.683 0.963
0.882 0.416 0.822
0.555 0.997 0.897
0.749 0.749 0.756
0.556 0.556 0.897
0.416 0.882 0.822
0.174 0.174 0.964
0.178 0.693 0.961
0.038 0.038 0.898
0.693 0.178 0.961
```

# 2
The following is a DFT calculation (PBE) of a relaxed EuTiO3 crystal.

Structure (POSCAR):
```
EuTiO3
1.0
2.800 -2.801 0.000
2.800 2.801 0.000
0.000 0.000 15.851
Eu Ti O
4 4 12
direct
0.500 0.500 0.625
0.500 0.500 0.875
0.500 0.500 0.125
0.500 0.500 0.375
0.000 0.000 0.000
0.000 0.000 0.250
0.000 0.000 0.500
0.000 0.000 0.750
0.000 0.000 0.125
0.000 0.000 0.375
0.000 0.000 0.625
0.000 0.000 0.875
0.000 0.500 0.000
0.000 0.500 0.250
0.000 0.500 0.500
0.000 0.500 0.750
0.500 0.000 0.000
0.500 0.000 0.250
0.500 0.000 0.500
0.500 0.000 0.750
```

# 3
The following is a DFT calculation (PBE) of a relaxed Cs2UCl6 crystal.

Structure (POSCAR):
```
Cs2UCl6
1.0
4.826 -0.455 -4.054
2.338 6.997 1.998
2.594 -6.119 3.774
Cs U Cl
2 1 6
direct
0.738 0.667 0.333
0.262 0.333 0.667
0.000 0.000 0.000
0.233 0.835 0.165
0.233 0.330 0.165
0.233 0.835 0.670
0.767 0.165 0.835
0.767 0.670 0.835
0.767 0.165 0.330
```

# 4
The following is a DFT calculation (PBE) of a relaxed Al2HgS4 crystal.

Structure (POSCAR):
```
Al2HgS4
1.0
-2.817 2.817 5.160
2.817 -2.817 5.160
2.817 2.817 -5.160
Al Hg S
2 1 4
direct
0.250 0.750 0.500
0.500 0.500 0.000
0.000 0.000 0.000
0.868 0.417 0.014
0.402 0.854 0.986
0.146 0.132 0.548
0.583 0.598 0.452
```

**ΔE to the lowest computed polymorph**: 0 meV/atom
**Piezoelectric modulus e_max**: 0.3 C/m²

# 5
The following is a DFT calculation (PBE) of a relaxed CdAg2GeS4 crystal.

Structure (POSCAR):
```
CdAg2GeS4
1.0
-2.424 -4.980 3.749
4.744 2.357 6.198
-10.161 8.396 4.585
Cd Ag Ge S
4 8 4 16
direct
0.795 0.013 0.158
0.295 0.987 0.842
0.295 0.513 0.342
0.795 0.487 0.658
0.284 0.262 0.075
0.784 0.738 0.925
0.784 0.762 0.425
0.284 0.238 0.575
0.802 0.501 0.159
0.302 0.499 0.841
0.302 0.001 0.341
0.802 0.999 0.659
0.789 0.241 0.909
0.289 0.759 0.091
0.289 0.741 0.591
0.789 0.259 0.409
0.671 0.258 0.060
0.171 0.742 0.940
0.171 0.758 0.440
0.671 0.242 0.560
0.679 0.012 0.836
0.179 0.988 0.164
0.179 0.512 0.664
0.679 0.488 0.336
0.125 0.244 0.907
0.625 0.756 0.093
0.625 0.744 0.593
0.125 0.256 0.407
0.681 0.471 0.835
0.181 0.529 0.165
0.181 0.971 0.665
0.681 0.029 0.335
```

**ΔE to the lowest computed polymorph**: 0 meV/atom

# 6
The following is a DFT calculation (PBE) of a relaxed AlP2H16C2N3O8 crystal.

Structure (POSCAR):
```
AlP2H16C2N3O8
1.0
-8.485 -1.456 0.184
2.134 -13.653 -9.585
1.987 -9.767 14.355
Al P H C N O
8 16 128 16 24 64
direct
0.016 0.845 0.236
0.484 0.155 0.736
0.516 0.655 0.764
0.984 0.345 0.264
0.003 0.596 0.253
0.497 0.404 0.753
0.503 0.904 0.747
0.997 0.096 0.247
0.832 0.713 0.145
0.668 0.287 0.645
0.332 0.787 0.855
0.168 0.213 0.355
0.806 0.963 0.330
0.694 0.037 0.830
0.306 0.537 0.670
0.194 0.463 0.170
0.166 0.974 0.134
0.334 0.026 0.634
0.666 0.526 0.866
0.834 0.474 0.366
0.202 0.725 0.341
0.298 0.275 0.841
0.702 0.775 0.659
0.798 0.225 0.159
0.148 0.600 0.442
0.352 0.400 0.942
0.648 0.900 0.558
0.852 0.100 0.058
0.211 0.545 0.515
0.289 0.455 0.015
0.711 0.955 0.485
0.789 0.045 0.985
0.064 0.508 0.455
0.436 0.492 0.955
0.564 0.992 0.545
0.936 0.008 0.045
0.118 0.080 0.447
0.382 0.920 0.947
0.618 0.420 0.553
0.882 0.580 0.053
0.142 0.011 0.518
0.358 0.989 0.018
0.642 0.489 0.482
0.858 0.511 0.982
0.015 0.993 0.444
0.485 0.007 0.944
0.515 0.507 0.556
0.985 0.493 0.056
0.857 0.834 0.431
0.643 0.166 0.931
0.357 0.666 0.569
0.143 0.334 0.069
0.968 0.750 0.446
0.532 0.250 0.946
0.468 0.750 0.554
0.032 0.250 0.054
0.812 0.774 0.506
0.688 0.226 0.006
0.312 0.726 0.494
0.188 0.274 0.994
0.968 0.756 0.016
0.532 0.244 0.516
0.468 0.744 0.984
0.032 0.256 0.484
0.042 0.851 0.014
0.458 0.149 0.514
0.542 0.649 0.986
0.958 0.351 0.486
0.074 0.787 0.938
0.426 0.213 0.438
0.574 0.713 0.062
0.926 0.287 0.562
0.443 0.817 0.273
0.057 0.183 0.773
0.943 0.683 0.727
0.557 0.317 0.227
0.569 0.822 0.199
0.931 0.178 0.699
0.069 0.678 0.801
0.431 0.322 0.301
0.558 0.901 0.263
0.942 0.099 0.763
0.058 0.599 0.737
0.442 0.401 0.237
0.410 0.884 0.202
0.090 0.116 0.702
0.910 0.616 0.798
0.590 0.384 0.298
0.613 0.629 0.234
0.887 0.371 0.734
0.113 0.871 0.766
0.387 0.129 0.266
0.455 0.566 0.234
0.045 0.434 0.734
0.955 0.934 0.766
0.545 0.066 0.266
0.463 0.650 0.292
0.037 0.350 0.792
0.963 0.850 0.708
0.537 0.150 0.208
0.580 0.567 0.309
0.920 0.433 0.809
0.080 0.933 0.691
0.420 0.067 0.191
0.248 0.504 0.350
0.252 0.496 0.850
0.748 0.996 0.650
0.752 0.004 0.150
0.306 0.442 0.428
0.194 0.558 0.928
0.806 0.058 0.572
0.694 0.942 0.072
0.398 0.536 0.414
0.102 0.464 0.914
0.898 0.964 0.586
0.602 0.036 0.086
0.224 0.989 0.352
0.276 0.011 0.852
0.724 0.511 0.648
0.776 0.489 0.148
0.245 0.914 0.423
0.255 0.086 0.923
0.745 0.586 0.577
0.755 0.414 0.077
0.359 0.003 0.428
0.141 0.997 0.928
0.859 0.497 0.572
0.641 0.503 0.072
0.745 0.664 0.421
0.755 0.336 0.921
0.245 0.836 0.579
0.255 0.164 0.079
0.786 0.727 0.342
0.714 0.273 0.842
0.286 0.773 0.658
0.214 0.227 0.158
0.629 0.751 0.405
0.871 0.249 0.905
0.129 0.749 0.595
0.371 0.251 0.095
0.869 0.889 0.913
0.631 0.111 0.413
0.369 0.611 0.087
0.131 0.389 0.587
0.758 0.841 0.987
0.742 0.159 0.487
0.258 0.659 0.013
0.242 0.341 0.513
0.810 0.788 0.902
0.690 0.212 0.402
0.310 0.712 0.098
0.190 0.288 0.598
0.288 0.504 0.410
0.212 0.496 0.910
0.788 0.996 0.590
0.712 0.004 0.090
0.246 0.978 0.413
0.254 0.022 0.913
0.746 0.522 0.587
0.754 0.478 0.087
0.747 0.726 0.401
0.753 0.274 0.901
0.247 0.774 0.599
0.253 0.226 0.099
0.849 0.832 0.943
0.651 0.168 0.443
0.349 0.668 0.057
0.151 0.332 0.557
0.168 0.541 0.459
0.332 0.459 0.959
0.668 0.959 0.541
0.832 0.041 0.041
0.122 0.018 0.458
0.378 0.982 0.958
0.622 0.482 0.542
0.878 0.518 0.042
0.855 0.774 0.449
0.645 0.226 0.949
0.355 0.726 0.551
0.145 0.274 0.051
0.994 0.805 0.981
0.506 0.195 0.481
0.494 0.695 0.019
0.006 0.305 0.519
0.496 0.857 0.234
0.004 0.143 0.734
0.996 0.643 0.766
0.504 0.357 0.266
0.527 0.603 0.267
0.973 0.397 0.767
0.027 0.897 0.733
0.473 0.103 0.233
0.946 0.783 0.164
0.554 0.217 0.664
0.446 0.717 0.836
0.054 0.283 0.336
0.848 0.650 0.211
0.652 0.350 0.711
0.348 0.850 0.789
0.152 0.150 0.289
0.662 0.741 0.145
0.838 0.259 0.645
0.162 0.759 0.855
0.338 0.241 0.355
0.885 0.678 0.068
0.615 0.322 0.568
0.385 0.822 0.932
0.115 0.178 0.432
0.103 0.798 0.314
0.397 0.202 0.814
0.603 0.702 0.686
0.897 0.298 0.186
0.854 0.896 0.273
0.646 0.104 0.773
0.354 0.604 0.727
0.146 0.396 0.227
0.920 0.035 0.317
0.580 0.965 0.817
0.420 0.465 0.683
0.080 0.535 0.183
0.638 0.985 0.313
0.862 0.015 0.813
0.138 0.515 0.687
0.362 0.485 0.187
0.836 0.935 0.413
0.664 0.065 0.913
0.336 0.565 0.587
0.164 0.435 0.087
0.162 0.907 0.197
0.338 0.093 0.697
0.662 0.593 0.803
0.838 0.407 0.303
0.074 0.046 0.168
0.426 0.954 0.668
0.574 0.454 0.832
0.926 0.546 0.332
0.083 0.947 0.061
0.417 0.053 0.561
0.583 0.553 0.939
0.917 0.447 0.439
0.337 0.997 0.122
0.163 0.003 0.622
0.837 0.503 0.878
0.663 0.497 0.378
0.157 0.653 0.288
0.343 0.347 0.788
0.657 0.847 0.712
0.843 0.153 0.212
0.376 0.739 0.330
0.124 0.261 0.830
0.876 0.761 0.670
0.624 0.239 0.170
0.157 0.708 0.425
0.343 0.292 0.925
0.657 0.792 0.575
0.843 0.208 0.075
```

no.,energy of formation (kJ per mole of atoms)
1,-316.2
2,-343.1
3,-226.2
4,-106.9
5,-57.3
6,-120.8